Nd3Cd | Materials Project | PBE-GGA | optimized geometry; ΔH_f (0 K) = -0.0930 eV per atom; energy above the most stable polymorph in this dataset = 6 meV per atom
1.0
-2.9201 6.5239 0.4543
0.6873 -4.0330 5.8786
5.0811 2.2101 0.9222
Nd Cd
6 2
Cartesian
1.0012 0.2841 2.3564
-0.0655 1.4741 5.3819
1.3296 -1.6427 5.1648
1.8470 4.4170 4.8986
2.9137 3.2269 1.8732
1.5187 6.3437 2.0902
3.2956 1.1435 4.7621
-0.4474 3.5575 2.4929